(1)
A plane-wave DFT calculation with PBE was carried out for a relaxed structure of Ca3Ni2N4.

Unit cell a=5.635 b=9.618 c=8.824 alpha=90.00 beta=90.00 gamma=90.00
Element x y z (fractional)
Ca  0.607  0.155  0.414
Ca  0.893  0.845  0.414
Ca  0.607  0.345  0.086
Ca  0.893  0.655  0.086
Ca  0.393  0.845  0.586
Ca  0.107  0.155  0.586
Ca  0.393  0.655  0.914
Ca  0.107  0.345  0.914
Ca  0.750  0.500  0.401
Ca  0.750  0.000  0.099
Ca  0.250  0.500  0.599
Ca  0.250  0.000  0.901
Ni  0.750  0.500  0.732
Ni  0.750  0.000  0.768
Ni  0.250  0.500  0.268
Ni  0.250  0.000  0.232
Ni  0.646  0.250  0.750
Ni  0.854  0.750  0.750
Ni  0.354  0.750  0.250
Ni  0.146  0.250  0.250
N  0.880  0.354  0.623
N  0.620  0.646  0.623
N  0.880  0.146  0.877
N  0.620  0.854  0.877
N  0.120  0.646  0.377
N  0.380  0.354  0.377
N  0.120  0.854  0.123
N  0.380  0.146  0.123
N  0.491  0.410  0.830
N  0.009  0.590  0.830
N  0.491  0.090  0.670
N  0.009  0.910  0.670
N  0.509  0.590  0.170
N  0.991  0.410  0.170
N  0.509  0.910  0.330
N  0.991  0.090  0.330

polymorph energy (0 for the lowest one) = 0.0 meV per atom
uncorrected energy = -6.015 eV/atom
energy of formation from the pure elements = -0.52 eV/atom

(2)
A plane-wave DFT calculation with PBE was carried out for a relaxed structure of Zn2Cl5O2.

Unit cell a=6.587 b=6.614 c=12.147 alpha=105.34 beta=105.63 gamma=90.16
Element x y z (fractional)
Zn  0.841  0.345  0.665
Zn  0.653  0.162  0.334
Zn  0.071  0.076  0.163
Zn  0.927  0.926  0.834
Cl  0.977  0.673  0.673
Cl  0.324  0.026  0.326
Cl  0.748  0.952  0.173
Cl  0.051  0.247  0.826
Cl  0.501  0.351  0.664
Cl  0.647  0.502  0.338
Cl  0.064  0.410  0.158
Cl  0.590  0.921  0.839
Cl  0.894  0.108  0.499
Cl  0.147  0.854  0.000
O  0.343  0.784  0.537
O  0.225  0.644  0.461
O  0.512  0.437  0.034
O  0.558  0.504  0.960

polymorph energy (0 for the lowest one) = 19.3 meV per atom
uncorrected energy = -3.048 eV/atom
energy of formation from the pure elements = -0.68 eV/atom

(3)
A plane-wave DFT calculation with PBE was carried out for a relaxed structure of Ca2B3H13O13.

Unit cell a=7.401 b=8.037 c=9.910 alpha=107.28 beta=110.98 gamma=94.67
Element x y z (fractional)
Ca  0.746  0.922  0.967
Ca  0.254  0.078  0.033
Ca  0.583  0.885  0.327
Ca  0.417  0.115  0.673
B  0.367  0.716  0.972
B  0.633  0.284  0.028
B  0.308  0.763  0.714
B  0.692  0.237  0.286
B  0.150  0.471  0.715
B  0.850  0.529  0.285
H  0.628  0.633  0.080
H  0.372  0.367  0.920
H  0.147  0.748  0.060
H  0.853  0.252  0.940
H  0.509  0.747  0.605
H  0.491  0.253  0.395
H  0.088  0.907  0.698
H  0.912  0.093  0.302
H  0.037  0.229  0.544
H  0.963  0.771  0.456
H  0.879  0.495  0.578
H  0.121  0.505  0.422
H  0.935  0.806  0.777
H  0.065  0.194  0.223
H  0.898  0.574  0.859
H  0.102  0.426  0.141
H  0.832  0.566  0.998
H  0.168  0.434  0.002
H  0.807  0.997  0.690
H  0.193  0.003  0.310
H  0.825  0.150  0.621
H  0.175  0.850  0.379
H  0.351  0.570  0.350
H  0.649  0.430  0.650
H  0.576  0.544  0.377
H  0.424  0.456  0.623
O  0.583  0.743  0.067
O  0.417  0.257  0.933
O  0.288  0.799  0.091
O  0.712  0.201  0.909
O  0.349  0.831  0.878
O  0.651  0.169  0.122
O  0.498  0.820  0.700
O  0.502  0.180  0.300
O  0.168  0.866  0.638
O  0.832  0.134  0.362
O  0.244  0.569  0.643
O  0.756  0.431  0.357
O  0.144  0.278  0.649
O  0.856  0.722  0.351
O  0.943  0.505  0.687
O  0.057  0.495  0.313
O  0.267  0.530  0.884
O  0.733  0.470  0.116
O  0.944  0.934  0.817
O  0.056  0.066  0.183
O  0.882  0.645  0.953
O  0.118  0.355  0.047
O  0.728  0.048  0.606
O  0.272  0.952  0.394
O  0.490  0.633  0.396
O  0.510  0.367  0.604

polymorph energy (0 for the lowest one) = 0.0 meV per atom
uncorrected energy = -5.953 eV/atom
energy of formation from the pure elements = -1.97 eV/atom

(4)
A plane-wave DFT calculation with PBE was carried out for a relaxed structure of Ba3Bi2RuO9.

Unit cell a=6.110 b=10.669 c=8.672 alpha=65.37 beta=89.73 gamma=72.92
Element x y z (fractional)
Ba  0.834  0.326  0.081
Ba  0.168  0.664  0.425
Ba  0.497  0.004  0.742
Ba  0.499  0.007  0.252
Ba  0.836  0.329  0.591
Ba  0.165  0.670  0.909
Bi  0.999  0.003  0.999
Bi  0.334  0.330  0.335
Bi  0.667  0.667  0.667
Bi  0.667  0.667  0.167
Ru  0.001  0.999  0.501
Ru  0.333  0.335  0.833
O  0.972  0.480  0.229
O  0.288  0.828  0.558
O  0.618  0.165  0.889
O  0.362  0.853  0.104
O  0.715  0.168  0.444
O  0.045  0.506  0.775
O  0.625  0.690  0.911
O  0.959  0.023  0.260
O  0.297  0.352  0.594
O  0.874  0.810  0.093
O  0.194  0.130  0.433
O  0.521  0.470  0.762
O  0.708  0.643  0.422
O  0.036  0.981  0.739
O  0.374  0.310  0.074
O  0.459  0.523  0.240
O  0.812  0.863  0.571
O  0.139  0.204  0.900

uncorrected energy = -6.297 eV/atom
energy of formation from the pure elements = -2.22 eV/atom

(5)
A plane-wave DFT calculation with PBE was carried out for a relaxed structure of LiCa2Cd.

Unit cell a=5.488 b=5.488 c=5.488 alpha=60.00 beta=60.00 gamma=60.00
Element x y z (fractional)
Li  0.000  0.000  0.000
Ca  0.750  0.750  0.750
Ca  0.250  0.250  0.250
Cd  0.500  0.500  0.500

uncorrected energy = -1.908 eV/atom
energy of formation from the pure elements = -0.20 eV/atom

(6)
A plane-wave DFT calculation with PBE was carried out for a relaxed structure of KPrEuSbO6.

Unit cell a=5.972 b=5.972 c=5.972 alpha=60.00 beta=60.00 gamma=60.00
Element x y z (fractional)
K  0.250  0.250  0.250
Pr  0.750  0.750  0.750
Eu  0.000  0.000  0.000
Sb  0.500  0.500  0.500
O  0.736  0.264  0.264
O  0.264  0.736  0.736
O  0.736  0.264  0.736
O  0.264  0.736  0.264
O  0.736  0.736  0.264
O  0.264  0.264  0.736

polymorph energy (0 for the lowest one) = 50.9 meV per atom
uncorrected energy = -7.154 eV/atom
energy of formation from the pure elements = -2.57 eV/atom